Ba2MgZrTiO6 (PBE-GGA, relaxed); magnetization = 0.000 μB per formula unit; formation enthalpy at 0 K = -33.9 eV/f.u.; energy with MP2020 corrections = -7.7656 eV/atom
1.0
-5.281 0.000 3.047
-3.519 4.978 0.000
-5.684 -0.285 -3.751
O Ba Ti Zr Mg
6 2 1 1 1
Direct
0.281 0.747 0.691 O
0.747 0.281 0.691 O
0.275 0.752 0.221 O
0.752 0.275 0.221 O
0.281 0.281 0.691 O
0.752 0.752 0.221 O
0.303 0.303 0.091 Ba
0.725 0.725 0.826 Ba
0.922 0.922 0.235 Ti
0.506 0.506 0.483 Zr
0.082 0.082 0.756 Mg